First-principles (PBE with a Hubbard U) data for a geometry-optimized BaFeF4 structure, as listed in Materials Project.

Calculated formation energy: -3.37 eV per atom
Energy: -5.70 eV per atom
Space group: Cmc2_1

Cell: 7.920 7.920 5.897 Å, 90.00 90.00 148.43°
Sites, in units of the cell vectors:
Ba  0.153  0.847  0.500
Ba  0.847  0.153  0.000
Fe  0.414  0.586  0.458
Fe  0.586  0.414  0.958
F  0.083  0.917  0.944
F  0.302  0.698  0.262
F  0.330  0.670  0.733
F  0.467  0.533  0.111
F  0.533  0.467  0.611
F  0.670  0.330  0.233
F  0.698  0.302  0.762
F  0.917  0.083  0.444